VASP calculation (PBE) on an optimized crystal structure of CsS2O4.

Summary:
The formation enthalpy at 0 K comes out at -1805 meV per atom. The calculation puts the MP2020-corrected energy at -5.942 eV per atom.

Cell: 16.0041 7.8481 9.8551 Å, 81.59 90.00 90.00°
Closest atoms and distances in Å follow each position.
Fractional positions:
Cs1 0.3994 0.8380 0.4095  7 O 3.13-3.43
Cs2 0.8994 0.6620 0.5905  7 O 3.13-3.43
Cs3 0.6006 0.1620 0.5905  7 O 3.13-3.43
Cs4 0.1006 0.3380 0.4095  7 O 3.13-3.43
Cs5 0.6001 0.2854 0.0800  7 O 3.13-3.48
Cs6 0.1001 0.2146 0.9200  7 O 3.13-3.48
Cs7 0.3999 0.7146 0.9200  7 O 3.13-3.48
Cs8 0.8999 0.7854 0.0800  7 O 3.13-3.48
S1 0.8261 0.2684 0.3214  2 O 1.46
S2 0.3261 0.2316 0.6786  2 O 1.46
S3 0.1739 0.7316 0.6786  2 O 1.46
S4 0.6739 0.7684 0.3214  2 O 1.46
S5 0.3981 0.3729 0.3210  3 O 1.46-1.48
S6 0.8981 0.1271 0.6790  3 O 1.46-1.48
S7 0.6019 0.6271 0.6790  3 O 1.46-1.48
S8 0.1019 0.8729 0.3210  3 O 1.46-1.48
S9 0.3017 0.2518 0.2183  2 S 2.14-2.16
S10 0.8017 0.2482 0.7817  2 S 2.14-2.16
S11 0.6983 0.7482 0.7817  2 S 2.14-2.16
S12 0.1983 0.7518 0.2183  2 S 2.14-2.16
S13 0.3657 0.1657 0.0473  3 O 1.46-1.47
S14 0.8657 0.3343 0.9527  3 O 1.46-1.47
S15 0.6343 0.8343 0.9527  3 O 1.46-1.47
S16 0.1343 0.6657 0.0473  3 O 1.46-1.47
O1 0.8841 0.4077 0.3366  1 S 1.46
O2 0.3841 0.0923 0.6634  1 S 1.46
O3 0.1159 0.5923 0.6634  1 S 1.46
O4 0.6159 0.9077 0.3366  1 S 1.46
O5 0.7383 0.3023 0.3457  1 S 1.46
O6 0.2383 0.1977 0.6543  1 S 1.46
O7 0.2617 0.6977 0.6543  1 S 1.46
O8 0.7617 0.8023 0.3457  1 S 1.46
O9 0.4267 0.5256 0.2299  1 S 1.46
O10 0.9267 0.9744 0.7701  1 S 1.46
O11 0.5733 0.4744 0.7701  1 S 1.46
O12 0.0733 0.0256 0.2299  1 S 1.46
O13 0.3497 0.4164 0.4392  1 S 1.48
O14 0.8497 0.0836 0.5608  1 S 1.48
O15 0.6503 0.5836 0.5608  1 S 1.48
O16 0.1503 0.9164 0.4392  1 S 1.48
O17 0.4636 0.2436 0.3578  1 S 1.47
O18 0.9636 0.2564 0.6422  1 S 1.47
O19 0.5364 0.7564 0.6422  1 S 1.47
O20 0.0364 0.7436 0.3578  1 S 1.47
O21 0.4134 0.3131 0.9798  1 S 1.46
O22 0.9134 0.1869 0.0202  1 S 1.46
O23 0.5866 0.6869 0.0202  1 S 1.46
O24 0.0866 0.8131 0.9798  1 S 1.46
O25 0.0823 0.5198 0.1064  1 S 1.47
O26 0.5823 0.9802 0.8936  1 S 1.47
O27 0.9177 0.4802 0.8936  1 S 1.47
O28 0.4177 0.0198 0.1064  1 S 1.47
O29 0.2054 0.6171 0.9669  1 S 1.47
O30 0.7054 0.8829 0.0331  1 S 1.47
O31 0.7946 0.3829 0.0331  1 S 1.47
O32 0.2946 0.1171 0.9669  1 S 1.47

=====

VASP calculation (PBE) on an optimized crystal structure of Mg3Si2.

Summary:
The formation enthalpy at 0 K comes out at 41 meV per atom. The calculation puts the MP2020-corrected energy at -3.090 eV per atom.

Cell: 5.2090 5.3926 14.1157 Å, 82.90 88.50 79.60°
Closest atoms and distances in Å follow each position.
Fractional positions:
Mg1 0.5849 0.4394 0.7545  5 Si 2.79-3.09
Mg2 0.1499 0.0350 0.7582  5 Si 2.82-3.07, 2 Mg 3.10-3.13
Mg3 0.6763 0.8747 0.8708  4 Si 2.62-2.93
Mg4 0.0627 0.5998 0.6297  4 Si 2.66-2.89, 1 Mg 2.92
Mg5 0.9373 0.4002 0.3703  4 Si 2.66-2.89, 1 Mg 2.92
Mg6 0.7925 0.2883 0.0011  5 Si 2.80-2.98
Mg7 0.8501 0.9650 0.2418  5 Si 2.82-3.07, 2 Mg 3.10-3.13
Mg8 0.4151 0.5606 0.2455  5 Si 2.79-3.09
Mg9 0.7667 0.8901 0.4672  6 Si 2.76-3.05, 2 Mg 2.92-2.99
Mg10 0.3237 0.1253 0.1292  4 Si 2.62-2.93
Mg11 0.2075 0.7117 0.9989  5 Si 2.80-2.98
Mg12 0.2333 0.1099 0.5328  6 Si 2.76-3.05, 2 Mg 2.92-2.99
Si1 0.3050 0.2176 0.9318  1 Si 2.38, 1 Mg 2.63
Si2 0.6999 0.3747 0.5460  2 Si 2.51-2.56, 2 Mg 2.74-2.78
Si3 0.0613 0.5323 0.8198  1 Si 2.38, 2 Mg 2.62-2.66
Si4 0.6359 0.0023 0.6635  1 Si 2.51, 2 Mg 2.76-2.79
Si5 0.3001 0.6253 0.4540  2 Si 2.51-2.56, 2 Mg 2.74-2.78
Si6 0.6950 0.7824 0.0682  1 Si 2.38, 1 Mg 2.63
Si7 0.3641 0.9977 0.3365  1 Si 2.51, 2 Mg 2.76-2.79
Si8 0.9387 0.4677 0.1802  1 Si 2.38, 2 Mg 2.62-2.66

=====

VASP calculation (PBE) on an optimized crystal structure of U3Se5.

Summary:
The formation enthalpy at 0 K comes out at -1320 meV per atom. The calculation puts the MP2020-corrected energy at -7.739 eV per atom. For the relative energy among the computed polymorphs, the calculation gives 0.134 eV per atom.

Cell: 8.3385 8.3385 8.3385 Å, 96.96 96.96 139.25°
Closest atoms and distances in Å follow each position.
Fractional positions:
U1 0.6613 0.1613 0.8225  6 Se 2.91-2.97
U2 0.3387 0.8387 0.1775  6 Se 2.91-2.97
U3 0.8387 0.6613 0.5000  6 Se 2.91-2.97
U4 0.1613 0.3387 0.5000  6 Se 2.91-2.97
U5 0.7500 0.7500 0.0000  2 U 2.90, 8 Se 2.98
U6 0.2500 0.2500 0.0000  2 U 2.90, 8 Se 2.98
Se1 0.2214 0.0803 0.3017  4 U 2.93-2.98, 1 Se 3.10
Se2 0.7786 0.9197 0.6983  4 U 2.93-2.98, 1 Se 3.10
Se3 0.2786 0.5803 0.8588  4 U 2.93-2.98, 1 Se 3.10
Se4 0.7214 0.4197 0.1412  4 U 2.93-2.98, 1 Se 3.10
Se5 0.0803 0.7786 0.8588  4 U 2.93-2.98, 1 Se 3.10
Se6 0.9197 0.2214 0.1412  4 U 2.93-2.98, 1 Se 3.10
Se7 0.5803 0.7214 0.3017  4 U 2.93-2.98, 1 Se 3.10
Se8 0.4197 0.2786 0.6983  4 U 2.93-2.98, 1 Se 3.10
Se9 0.2500 0.7500 0.5000  2 Se 2.90, 4 U 2.91
Se10 0.7500 0.2500 0.5000  2 Se 2.90, 4 U 2.91

=====

VASP calculation (PBE) on an optimized crystal structure of LiRuO2.

Summary:
The formation enthalpy at 0 K comes out at -1567 meV per atom. The calculation puts the MP2020-corrected energy at -6.837 eV per atom.

Cell: 2.7872 5.0235 5.1546 Å, 90.00 90.00 90.00°
Closest atoms and distances in Å follow each position.
Fractional positions:
Li1 0.0000 0.0000 0.5000  6 O 2.08-2.10
Li2 0.5000 0.5000 0.0000  6 O 2.08-2.10
Ru1 0.5000 0.5000 0.5000  6 O 2.09
Ru2 0.0000 0.0000 0.0000  6 O 2.09
O1 0.0000 0.6704 0.7518  3 Li 2.08-2.10, 3 Ru 2.09
O2 0.0000 0.3296 0.2482  3 Li 2.08-2.10, 3 Ru 2.09
O3 0.5000 0.1704 0.7482  3 Li 2.08-2.10, 3 Ru 2.09
O4 0.5000 0.8296 0.2518  3 Li 2.08-2.10, 3 Ru 2.09